a.
The following is a DFT calculation (PBE+U) of K2LiMn2O4 after structural relaxation.

a b c (Å): 8.9230 9.4721 6.5758
angles (deg): 90.00 94.65 90.00
With the nearest neighbours (Å) after each atom.
Space group C2/c (No. 15)
One atom of each set of equivalent atoms:
K 0.0000 0.0208 0.2500 x4  6 O 2.73-2.80
K 0.2500 0.2500 0.0000 x4  6 O 2.77-3.11, 2 Li 2.84
Li 0.0000 0.3547 0.7500 x4  4 O 2.05-2.09
Mn 0.1963 0.3855 0.4674 x8  4 O 1.96-2.09
O 0.0968 0.2132 0.5554 x8  2 Mn 1.97-2.09, 1 Li 2.09
O 0.1876 0.4784 0.7431 x8  2 Mn 1.96-2.02, 1 Li 2.05


b.
The following is a DFT calculation (PBE+U) of K2LiMn2O4 after structural relaxation.

a b c (Å): 6.6574 3.0520 6.9830
angles (deg): 90.00 106.95 90.00
With the nearest neighbours (Å) after each atom.
Space group Pm (No. 6)
One atom of each set of equivalent atoms:
K 0.0000 0.0000 0.0000 x1  4 O 2.71-2.74
K 0.4962 0.5000 0.4989 x1  6 O 2.67-2.96, 1 Li 2.72
Li 0.3120 0.5000 0.7994 x1  4 O 1.95-2.13
Mn 0.5444 0.0000 0.0725 x1  5 O 2.03-2.13
Mn 0.9731 0.5000 0.4823 x1  4 O 2.05-2.13
O 0.1819 0.0000 0.6359 x1  2 Li 1.95, 2 Mn 2.13
O 0.3513 0.5000 0.1000 x1  1 Li 2.04, 2 Mn 2.04
O 0.6436 0.5000 0.9319 x1  2 Mn 2.03, 1 Li 2.13
O 0.7698 0.0000 0.3597 x1  3 Mn 2.05-2.13


Which structure above is the least stable? It is b.